(1)
# GGA-PBE Na17Mo60S76, optimized geometry
data_Na17Mo60S76
_chemical_formula_sum 'Na17 Mo60 S76'
_cell_length_a 9.649
_cell_length_b 9.668
_cell_length_c 38.350
_cell_angle_alpha 90.00
_cell_angle_beta 90.00
_cell_angle_gamma 120.05
_symmetry_space_group_name_H-M 'P 1'
_symmetry_Int_Tables_number 1
_symmetry_space_group_name_Hall 'P 1'
loop_
_atom_site_label
_atom_site_type_symbol
_atom_site_fract_x
_atom_site_fract_y
_atom_site_fract_z
_atom_site_occupancy
Mo1 Mo 0.014 0.845 0.721 1
Na1 Na 0.333 0.667 0.446 1
S1 S 0.982 0.370 0.930 1
S2 S 0.053 0.359 0.625 1
Mo2 Mo 0.184 0.500 0.684 1
Mo3 Mo 0.834 0.348 0.375 1
S3 S 0.053 0.360 0.125 1
S4 S 0.282 0.309 0.474 1
Mo4 Mo 0.831 0.986 0.029 1
Mo5 Mo 0.844 0.832 0.279 1
S5 S 0.282 0.309 0.974 1
Mo6 Mo 0.684 0.185 0.434 1
S6 S 0.363 0.308 0.375 1
S7 S 0.630 0.612 0.930 1
Na2 Na 0.667 0.333 0.696 1
Mo7 Mo 0.831 0.986 0.221 1
Mo8 Mo 0.492 0.839 0.625 1
S8 S 0.309 0.027 0.724 1
Mo9 Mo 0.168 0.012 0.279 1
S9 S 0.369 0.388 0.070 1
S10 S 0.000 0.000 0.923 1
S11 S 0.640 0.694 0.125 1
Na3 Na 0.168 0.938 0.875 1
Na4 Na 0.667 0.334 0.054 1
S12 S 0.982 0.370 0.820 1
S13 S 0.691 0.973 0.776 1
Mo10 Mo 0.316 0.816 0.066 1
S14 S 0.027 0.718 0.474 1
S15 S 0.370 0.388 0.680 1
S16 S 0.718 0.692 0.724 1
S17 S 0.667 0.333 0.983 1
Mo11 Mo 0.815 0.499 0.934 1
S18 S 0.997 0.997 0.078 1
S19 S 0.667 0.333 0.483 1
S20 S 0.000 0.000 0.827 1
S21 S 0.998 0.000 0.577 1
S22 S 0.333 0.667 0.233 1
S23 S 0.974 0.282 0.724 1
Na5 Na 0.228 0.168 0.625 1
S24 S 0.018 0.630 0.570 1
S25 S 0.309 0.027 0.526 1
Mo12 Mo 0.316 0.816 0.684 1
S26 S 0.613 0.980 0.680 1
Mo13 Mo 0.502 0.685 0.184 1
Mo14 Mo 0.014 0.845 0.529 1
S27 S 0.718 0.692 0.026 1
S28 S 0.974 0.282 0.224 1
Mo15 Mo 0.501 0.316 0.316 1
Mo16 Mo 0.167 0.651 0.625 1
Mo17 Mo 0.155 0.168 0.221 1
Mo18 Mo 0.652 0.486 0.875 1
S29 S 0.667 0.333 0.267 1
S30 S 0.020 0.632 0.180 1
Mo19 Mo 0.502 0.685 0.066 1
S31 S 0.974 0.282 0.026 1
Mo20 Mo 0.155 0.168 0.721 1
Mo21 Mo 0.162 0.653 0.125 1
Mo22 Mo 0.316 0.816 0.184 1
Na6 Na 0.062 0.231 0.375 1
S32 S 0.692 0.055 0.875 1
Mo23 Mo 0.491 0.838 0.125 1
Mo24 Mo 0.155 0.168 0.529 1
Mo25 Mo 0.183 0.500 0.066 1
S33 S 0.945 0.637 0.875 1
S34 S 0.612 0.980 0.180 1
S35 S 0.945 0.637 0.375 1
S36 S 0.691 0.973 0.276 1
S37 S 0.612 0.980 0.070 1
Mo26 Mo 0.348 0.516 0.125 1
Mo27 Mo 0.501 0.685 0.684 1
S38 S 0.000 0.000 0.327 1
Mo28 Mo 0.168 0.012 0.471 1
S39 S 0.691 0.973 0.474 1
S40 S 0.667 0.333 0.767 1
Mo29 Mo 0.184 0.500 0.566 1
Mo30 Mo 0.987 0.155 0.279 1
Mo31 Mo 0.501 0.316 0.934 1
Na7 Na 0.168 0.938 0.375 1
Mo32 Mo 0.501 0.685 0.566 1
Mo33 Mo 0.684 0.185 0.816 1
Mo34 Mo 0.183 0.500 0.184 1
S41 S 0.982 0.370 0.320 1
Mo35 Mo 0.831 0.987 0.721 1
S42 S 0.630 0.612 0.430 1
S43 S 0.309 0.945 0.125 1
Mo36 Mo 0.501 0.316 0.816 1
S44 S 0.998 0.000 0.673 1
S45 S 0.333 0.667 0.733 1
Na8 Na 0.062 0.231 0.875 1
S46 S 0.000 0.000 0.423 1
S47 S 0.333 0.667 0.017 1
S48 S 0.308 0.026 0.026 1
Mo37 Mo 0.815 0.499 0.434 1
Mo38 Mo 0.987 0.156 0.471 1
S49 S 0.308 0.945 0.625 1
S50 S 0.369 0.388 0.180 1
S51 S 0.370 0.388 0.570 1
Mo39 Mo 0.684 0.185 0.316 1
Mo40 Mo 0.844 0.832 0.471 1
Na9 Na 0.769 0.831 0.875 1
Mo41 Mo 0.014 0.845 0.029 1
Mo42 Mo 0.684 0.185 0.934 1
S52 S 0.018 0.630 0.680 1
Mo43 Mo 0.831 0.987 0.529 1
S53 S 0.387 0.018 0.820 1
S54 S 0.974 0.282 0.526 1
Mo44 Mo 0.014 0.845 0.221 1
Na10 Na 0.227 0.166 0.125 1
Mo45 Mo 0.168 0.012 0.971 1
Mo46 Mo 0.514 0.166 0.875 1
S55 S 0.718 0.692 0.526 1
S56 S 0.387 0.018 0.430 1
S57 S 0.982 0.370 0.430 1
Mo47 Mo 0.815 0.499 0.816 1
Na11 Na 0.333 0.667 0.304 1
Na12 Na 0.333 0.667 0.946 1
Mo48 Mo 0.987 0.156 0.779 1
S58 S 0.027 0.718 0.776 1
Na13 Na 0.769 0.831 0.375 1
Na14 Na 0.333 0.667 0.804 1
Mo49 Mo 0.844 0.832 0.779 1
Mo50 Mo 0.348 0.515 0.625 1
S59 S 0.027 0.718 0.974 1
S60 S 0.333 0.667 0.517 1
Mo51 Mo 0.514 0.166 0.375 1
Mo52 Mo 0.316 0.816 0.566 1
S61 S 0.363 0.308 0.875 1
S62 S 0.997 0.997 0.172 1
S63 S 0.718 0.692 0.224 1
S64 S 0.027 0.718 0.276 1
S65 S 0.387 0.018 0.320 1
S66 S 0.282 0.309 0.776 1
S67 S 0.630 0.612 0.320 1
S68 S 0.630 0.612 0.820 1
Na15 Na 0.667 0.334 0.196 1
S69 S 0.691 0.973 0.974 1
S70 S 0.282 0.309 0.276 1
S71 S 0.692 0.055 0.375 1
Mo53 Mo 0.652 0.486 0.375 1
Mo54 Mo 0.815 0.499 0.316 1
Mo55 Mo 0.834 0.348 0.875 1
S72 S 0.387 0.018 0.930 1
Na16 Na 0.937 0.771 0.625 1
S73 S 0.308 0.026 0.224 1
Mo56 Mo 0.501 0.316 0.434 1
S74 S 0.636 0.692 0.625 1
Mo57 Mo 0.155 0.168 0.029 1
S75 S 0.613 0.980 0.570 1
Na17 Na 0.667 0.333 0.554 1
S76 S 0.020 0.632 0.070 1
Mo58 Mo 0.987 0.155 0.971 1
Mo59 Mo 0.844 0.832 0.971 1
Mo60 Mo 0.168 0.012 0.779 1
# **Formation energy from the elements**: -1.010 eV/atom
# **Space-group type**: Pm (6)
# **DFT total energy**: -7.215 eV per atom
# **ρ**: 4.60 g/cm³

(2)
# GGA-PBE NaScSnO4, optimized geometry
data_NaScSnO4
_chemical_formula_sum 'Na4 Sc4 Sn4 O16'
_cell_length_a 3.175
_cell_length_b 9.630
_cell_length_c 11.327
_cell_angle_alpha 90.00
_cell_angle_beta 90.00
_cell_angle_gamma 90.00
_symmetry_space_group_name_H-M 'P 1'
_symmetry_Int_Tables_number 1
_symmetry_space_group_name_Hall 'P 1'
loop_
_atom_site_label
_atom_site_type_symbol
_atom_site_fract_x
_atom_site_fract_y
_atom_site_fract_z
_atom_site_occupancy
O1 O 0.000 0.072 0.821 1
O2 O 0.500 0.524 0.966 1
Sc1 Sc 0.500 0.920 0.357 1
O3 O 0.500 0.122 0.266 1
Na1 Na 0.500 0.754 0.103 1
Sc2 Sc 0.500 0.931 0.864 1
O4 O 0.000 0.389 0.767 1
Sn1 Sn 0.000 0.562 0.363 1
O5 O 0.000 0.985 0.465 1
O6 O 0.000 0.791 0.906 1
Na2 Na 0.000 0.242 0.399 1
Sc3 Sc 0.500 0.431 0.136 1
O7 O 0.500 0.422 0.327 1
Sc4 Sc 0.500 0.420 0.643 1
Na3 Na 0.500 0.254 0.897 1
O8 O 0.500 0.922 0.673 1
Na4 Na 0.000 0.742 0.601 1
Sn2 Sn 0.000 0.062 0.637 1
Sn3 Sn 0.000 0.583 0.854 1
O9 O 0.000 0.485 0.535 1
O10 O 0.500 0.622 0.734 1
O11 O 0.500 0.024 0.034 1
O12 O 0.000 0.889 0.233 1
O13 O 0.000 0.572 0.179 1
Sn4 Sn 0.000 0.083 0.146 1
O14 O 0.000 0.291 0.094 1
O15 O 0.500 0.703 0.403 1
O16 O 0.500 0.203 0.597 1
# **Formation energy from the elements**: -2.751 eV/atom
# **Space-group type**: Pmc2_1 (26)
# **DFT total energy**: -6.852 eV per atom
# **ρ**: 4.81 g/cm³

(3)
# GGA-PBE InH12S2NO12, optimized geometry
data_InH12S2NO12
_chemical_formula_sum 'In4 H48 S8 N4 O48'
_cell_length_a 10.957
_cell_length_b 9.267
_cell_length_c 10.714
_cell_angle_alpha 77.87
_cell_angle_beta 90.00
_cell_angle_gamma 90.00
_symmetry_space_group_name_H-M 'P 1'
_symmetry_Int_Tables_number 1
_symmetry_space_group_name_Hall 'P 1'
loop_
_atom_site_label
_atom_site_type_symbol
_atom_site_fract_x
_atom_site_fract_y
_atom_site_fract_z
_atom_site_occupancy
O1 O 0.218 0.390 0.001 1
O2 O 0.472 0.744 0.152 1
In1 In 0.868 0.847 0.289 1
In2 In 0.136 0.652 0.709 1
O3 O 0.424 0.458 0.927 1
O4 O 0.794 0.112 0.006 1
S1 S 0.201 0.887 0.897 1
N1 N 0.249 0.279 0.316 1
H1 H 0.080 0.563 0.171 1
H2 H 0.427 0.072 0.171 1
H3 H 0.690 0.798 0.634 1
O5 O 0.981 0.542 0.821 1
O6 O 0.338 0.072 0.176 1
H4 H 0.873 0.308 0.393 1
O7 O 0.873 0.525 0.547 1
O8 O 0.130 0.974 0.452 1
H5 H 0.594 0.712 0.913 1
O9 O 0.260 0.467 0.771 1
H6 H 0.703 0.626 0.728 1
O10 O 0.526 0.041 0.820 1
S2 S 0.808 0.610 0.101 1
O11 O 0.373 0.475 0.453 1
O12 O 0.597 0.471 0.442 1
O13 O 0.097 0.529 0.558 1
H7 H 0.792 0.771 0.751 1
O14 O 0.178 0.730 0.883 1
O15 O 0.030 0.242 0.147 1
O16 O 0.669 0.434 0.819 1
H8 H 0.470 0.441 0.091 1
H9 H 0.203 0.374 0.272 1
H10 H 0.460 0.692 0.871 1
O17 O 0.509 0.176 0.374 1
S3 S 0.985 0.530 0.473 1
H11 H 0.419 0.795 0.082 1
H12 H 0.927 0.928 0.829 1
O18 O 0.244 0.969 0.767 1
S4 S 0.308 0.390 0.899 1
H13 H 0.799 0.129 0.732 1
O19 O 0.481 0.458 0.179 1
H14 H 0.812 0.691 0.623 1
H15 H 0.199 0.561 0.096 1
O20 O 0.026 0.959 0.180 1
H16 H 0.480 0.570 0.170 1
In3 In 0.636 0.348 0.291 1
O21 O 0.999 0.405 0.409 1
O22 O 0.405 0.031 0.558 1
O23 O 0.795 0.248 0.400 1
O24 O 0.530 0.758 0.853 1
H17 H 0.038 0.941 0.093 1
O25 O 0.499 0.595 0.591 1
H18 H 0.538 0.059 0.907 1
S5 S 0.485 0.470 0.527 1
H19 H 0.312 0.076 0.088 1
H20 H 0.580 0.437 0.829 1
N2 N 0.251 0.780 0.315 1
O26 O 0.830 0.768 0.113 1
H21 H 0.094 0.288 0.087 1
H22 H 0.299 0.871 0.268 1
O27 O 0.706 0.752 0.401 1
H23 H 0.024 0.072 0.168 1
H24 H 0.919 0.205 0.918 1
N3 N 0.751 0.220 0.685 1
H25 H 0.373 0.692 0.607 1
H26 H 0.960 0.308 0.129 1
H27 H 0.711 0.276 0.749 1
S6 S 0.517 0.032 0.473 1
O28 O 0.972 0.256 0.848 1
H28 H 0.629 0.812 0.398 1
H29 H 0.307 0.706 0.374 1
H30 H 0.685 0.181 0.631 1
H31 H 0.037 0.186 0.842 1
O29 O 0.744 0.031 0.233 1
O30 O 0.718 0.610 0.999 1
S7 S 0.017 0.968 0.527 1
H32 H 0.190 0.202 0.366 1
O31 O 0.838 0.928 0.824 1
In4 In 0.368 0.153 0.711 1
O32 O 0.760 0.533 0.229 1
H33 H 0.980 0.430 0.830 1
O33 O 0.994 0.673 0.373 1
H34 H 0.292 0.229 0.249 1
O34 O 0.678 0.270 0.117 1
O35 O 0.294 0.888 0.994 1
O36 O 0.009 0.824 0.626 1
H35 H 0.318 0.857 0.590 1
O37 O 0.330 0.232 0.887 1
H36 H 0.312 0.309 0.377 1
O38 O 0.905 0.969 0.442 1
H37 H 0.812 0.924 0.912 1
O39 O 0.169 0.566 0.181 1
H38 H 0.185 0.819 0.369 1
O40 O 0.504 0.907 0.409 1
O41 O 0.584 0.047 0.072 1
S8 S 0.701 0.113 0.103 1
H39 H 0.211 0.724 0.251 1
H40 H 0.524 0.928 0.832 1
H41 H 0.807 0.294 0.626 1
O42 O 0.084 0.953 0.928 1
N4 N 0.749 0.721 0.684 1
H42 H 0.183 0.354 0.582 1
O43 O 0.295 0.752 0.600 1
H43 H 0.129 0.188 0.602 1
O44 O 0.206 0.248 0.599 1
H44 H 0.699 0.439 0.904 1
O45 O 0.004 0.093 0.591 1
H45 H 0.818 0.143 0.410 1
O46 O 0.924 0.542 0.073 1
O47 O 0.630 0.026 0.548 1
O48 O 0.494 0.327 0.627 1
H46 H 0.683 0.646 0.418 1
H47 H 0.970 0.559 0.909 1
H48 H 0.537 0.814 0.158 1
# **Formation energy from the elements**: -1.407 eV/atom
# **Space-group type**: P2_1 (4)
# **DFT total energy**: -5.379 eV per atom
# **ρ**: 2.48 g/cm³

(4)
# GGA-PBE Ca2ZrSi4O12, optimized geometry
data_Ca2ZrSi4O12
_chemical_formula_sum 'Ca4 Zr2 Si8 O24'
_cell_length_a 13.850
_cell_length_b 5.392
_cell_length_c 7.508
_cell_angle_alpha 71.11
_cell_angle_beta 90.00
_cell_angle_gamma 90.00
_symmetry_space_group_name_H-M 'P 1'
_symmetry_Int_Tables_number 1
_symmetry_space_group_name_Hall 'P 1'
loop_
_atom_site_label
_atom_site_type_symbol
_atom_site_fract_x
_atom_site_fract_y
_atom_site_fract_z
_atom_site_occupancy
O1 O 0.932 0.206 0.158 1
O2 O 0.877 0.403 0.406 1
O3 O 0.123 0.597 0.594 1
O4 O 0.119 0.268 0.954 1
O5 O 0.432 0.794 0.842 1
Si1 Si 0.362 0.567 0.818 1
O6 O 0.377 0.597 0.594 1
O7 O 0.065 0.788 0.256 1
O8 O 0.068 0.794 0.842 1
Zr1 Zr 0.500 0.000 0.000 1
O9 O 0.881 0.732 0.046 1
Si2 Si 0.140 0.568 0.384 1
Zr2 Zr 0.000 0.000 0.000 1
Si3 Si 0.638 0.433 0.182 1
Ca1 Ca 0.750 0.835 0.814 1
O10 O 0.619 0.732 0.046 1
Si4 Si 0.862 0.433 0.182 1
Si5 Si 0.138 0.567 0.818 1
Si6 Si 0.860 0.432 0.616 1
O11 O 0.133 0.275 0.378 1
Ca2 Ca 0.000 0.000 0.500 1
O12 O 0.381 0.268 0.954 1
O13 O 0.867 0.725 0.622 1
O14 O 0.935 0.212 0.744 1
O15 O 0.435 0.788 0.256 1
O16 O 0.750 0.370 0.137 1
O17 O 0.250 0.694 0.313 1
O18 O 0.250 0.630 0.863 1
O19 O 0.568 0.206 0.158 1
O20 O 0.633 0.725 0.622 1
O21 O 0.623 0.403 0.406 1
O22 O 0.750 0.306 0.687 1
Ca3 Ca 0.500 0.000 0.500 1
O23 O 0.367 0.275 0.378 1
Ca4 Ca 0.250 0.165 0.186 1
Si7 Si 0.360 0.568 0.384 1
Si8 Si 0.640 0.432 0.616 1
O24 O 0.565 0.212 0.744 1
# **Formation energy from the elements**: -3.449 eV/atom
# **Space-group type**: P2_1/m (11)
# **DFT total energy**: -7.943 eV per atom
# **ρ**: 2.98 g/cm³